[1]
# Mg5CrSi4O18 | the Materials Project | GGA+U | optimized geometry
# Symmetry ... No. 1
# Energy relative to the elements ... -2.5737 eV/atom
data_Mg5CrSi4O18
_chemical_formula_sum 'Mg10 Cr2 Si8 O36'
_space_group_name_H-M_alt 'P 1'
_space_group_IT_number 1
_space_group_name_Hall 'P 1'
_cell_length_a 5.334
_cell_length_b 5.369
_cell_length_c 29.480
_cell_angle_alpha 90.28
_cell_angle_beta 90.33
_cell_angle_gamma 119.55
loop_
_atom_site_label
_atom_site_type_symbol
_atom_site_fract_x
_atom_site_fract_y
_atom_site_fract_z
Si1 Si 0.327 0.362 0.311
O1 O 0.961 0.726 0.495
O2 O 0.627 0.054 0.939
O3 O 0.505 0.025 0.829
Mg1 Mg 0.326 0.691 0.217
Cr1 Cr 0.260 0.974 0.971
Si2 Si 0.661 0.027 0.311
O4 O 0.314 0.734 0.001
Si3 Si 0.326 0.019 0.122
O5 O 0.185 0.214 0.604
O6 O 0.643 0.395 0.432
O7 O 0.976 0.692 0.246
Cr2 Cr 0.602 0.637 0.464
O8 O 0.483 0.695 0.329
O9 O 0.611 0.326 0.994
Mg2 Mg 0.652 0.712 0.965
O10 O 0.997 0.364 0.678
O11 O 0.373 0.413 0.503
O12 O 0.682 0.022 0.496
O13 O 0.944 0.993 0.441
Mg3 Mg 0.334 0.031 0.468
Si4 Si 0.326 0.692 0.811
Mg4 Mg 0.003 0.682 0.717
O14 O 0.320 0.357 0.255
O15 O 0.027 0.745 0.931
O16 O 0.359 0.696 0.434
O17 O 0.332 0.028 0.678
Mg5 Mg 0.651 0.036 0.717
O18 O 0.673 0.706 0.688
O19 O 0.661 0.167 0.603
Si5 Si 0.328 0.023 0.622
O20 O 0.341 0.340 0.939
O21 O 0.981 0.011 0.746
O22 O 0.658 0.205 0.103
Si6 Si 0.995 0.359 0.622
O23 O 0.997 0.355 0.178
O24 O 0.483 0.515 0.830
O25 O 0.676 0.690 0.188
Si7 Si 0.993 0.354 0.122
Mg6 Mg 0.650 0.339 0.217
Si8 Si 0.659 0.357 0.811
O26 O 0.995 0.183 0.330
Mg7 Mg 0.325 0.357 0.716
O27 O 0.655 0.353 0.755
O28 O 0.139 0.691 0.603
O29 O 0.139 0.167 0.104
O30 O 0.656 0.027 0.255
O31 O 0.506 0.207 0.330
Mg8 Mg 0.997 0.366 0.965
O32 O 0.994 0.536 0.830
Mg9 Mg 0.002 0.043 0.217
O33 O 0.020 0.027 0.002
O34 O 0.177 0.685 0.104
Mg10 Mg 0.992 0.382 0.468
O35 O 0.322 0.687 0.755
O36 O 0.333 0.024 0.178

***

[2]
# BaCoBP2HO9 | the Materials Project | GGA+U | optimized geometry
# Symmetry ... No. 1
# Energy relative to the elements ... -2.6193 eV/atom
data_BaCoBP2HO9
_chemical_formula_sum 'Ba4 Co4 B4 P8 H4 O36'
_space_group_name_H-M_alt 'P 1'
_space_group_IT_number 1
_space_group_name_Hall 'P 1'
_cell_length_a 8.123
_cell_length_b 8.387
_cell_length_c 10.745
_cell_angle_alpha 79.41
_cell_angle_beta 87.09
_cell_angle_gamma 88.49
loop_
_atom_site_label
_atom_site_type_symbol
_atom_site_fract_x
_atom_site_fract_y
_atom_site_fract_z
H1 H 0.054 0.548 0.134
Co1 Co 0.799 0.196 0.864
O1 O 0.613 0.641 0.367
O2 O 0.326 0.541 0.434
Ba1 Ba 0.310 0.115 0.362
O3 O 0.828 0.443 0.364
O4 O 0.379 0.804 0.276
H2 H 0.053 0.547 0.634
O5 O 0.387 0.359 0.633
O6 O 0.087 0.863 0.456
O7 O 0.621 0.196 0.724
Co2 Co 0.201 0.804 0.136
P1 P 0.432 0.699 0.900
O8 O 0.016 0.221 0.245
O9 O 0.203 0.055 0.623
O10 O 0.137 0.339 0.520
H3 H 0.947 0.453 0.866
O11 O 0.086 0.862 0.957
O12 O 0.326 0.543 0.935
O13 O 0.828 0.442 0.864
O14 O 0.571 0.204 0.991
O15 O 0.914 0.138 0.043
P2 P 0.941 0.818 0.387
Co3 Co 0.800 0.198 0.363
O16 O 0.204 0.055 0.122
O17 O 0.137 0.340 0.020
B1 B 0.744 0.547 0.943
O18 O 0.674 0.459 0.565
O19 O 0.983 0.779 0.255
O20 O 0.173 0.558 0.136
O21 O 0.863 0.660 0.980
P3 P 0.568 0.301 0.100
O22 O 0.613 0.640 0.867
Ba2 Ba 0.310 0.114 0.861
P4 P 0.060 0.183 0.112
Ba3 Ba 0.690 0.886 0.139
O23 O 0.674 0.457 0.065
O24 O 0.380 0.806 0.776
P5 P 0.569 0.303 0.599
O25 O 0.429 0.796 0.009
O26 O 0.796 0.944 0.878
H4 H 0.947 0.453 0.366
O27 O 0.017 0.221 0.745
Co4 Co 0.200 0.802 0.637
P6 P 0.431 0.698 0.400
B2 B 0.256 0.453 0.057
P7 P 0.059 0.183 0.613
O28 O 0.983 0.779 0.755
B3 B 0.256 0.452 0.556
O29 O 0.428 0.794 0.509
P8 P 0.940 0.817 0.888
O30 O 0.572 0.206 0.491
O31 O 0.172 0.557 0.635
O32 O 0.620 0.194 0.224
O33 O 0.797 0.945 0.378
B4 B 0.744 0.548 0.443
O34 O 0.913 0.137 0.544
O35 O 0.387 0.360 0.133
O36 O 0.863 0.661 0.479
Ba4 Ba 0.690 0.885 0.638

***

[3]
# Ba2ZnCr2CuF14 | the Materials Project | GGA+U | optimized geometry
# Symmetry ... No. 15
# Energy relative to the elements ... -3.1446 eV/atom
data_Ba2ZnCr2CuF14
_chemical_formula_sum 'Ba4 Zn2 Cr4 Cu2 F28'
_space_group_name_H-M_alt 'P 1'
_space_group_IT_number 1
_space_group_name_Hall 'P 1'
_cell_length_a 7.572
_cell_length_b 7.572
_cell_length_c 14.736
_cell_angle_alpha 88.55
_cell_angle_beta 88.55
_cell_angle_gamma 41.09
loop_
_atom_site_label
_atom_site_type_symbol
_atom_site_fract_x
_atom_site_fract_y
_atom_site_fract_z
Zn1 Zn 0.568 0.432 0.250
F1 F 0.894 0.094 0.161
Cr1 Cr 0.100 0.138 0.626
F2 F 0.393 0.512 0.122
F3 F 0.806 0.419 0.711
Cu1 Cu 0.500 0.500 0.000
Zn2 Zn 0.432 0.568 0.750
F4 F 0.405 0.869 0.545
F5 F 0.106 0.906 0.839
F6 F 0.716 0.121 0.983
F7 F 0.032 0.642 0.777
F8 F 0.121 0.716 0.483
F9 F 0.968 0.358 0.223
Ba1 Ba 0.113 0.259 0.876
F10 F 0.869 0.405 0.045
F11 F 0.512 0.393 0.622
F12 F 0.607 0.488 0.878
Ba2 Ba 0.741 0.887 0.624
Cr2 Cr 0.900 0.862 0.374
Cr3 Cr 0.138 0.100 0.126
F13 F 0.419 0.806 0.211
F14 F 0.642 0.032 0.277
F15 F 0.131 0.595 0.955
F16 F 0.595 0.131 0.455
F17 F 0.358 0.968 0.723
F18 F 0.194 0.581 0.289
Cu2 Cu 0.500 0.500 0.500
F19 F 0.652 0.848 0.904
F20 F 0.094 0.894 0.661
F21 F 0.581 0.194 0.789
F22 F 0.488 0.607 0.378
F23 F 0.879 0.284 0.517
F24 F 0.348 0.152 0.096
F25 F 0.906 0.106 0.339
F26 F 0.152 0.348 0.596
F27 F 0.848 0.652 0.404
F28 F 0.284 0.879 0.017
Ba3 Ba 0.887 0.741 0.124
Cr4 Cr 0.862 0.900 0.874
Ba4 Ba 0.259 0.113 0.376

***

[4]
# ZnFe2O4 | the Materials Project | GGA+U | optimized geometry
# Symmetry ... No. 1
# Excess energy over the best structure of this formula in the dataset ... 89 meV/atom
# Energy relative to the elements ... -1.6558 eV/atom
data_ZnFe2O4
_chemical_formula_sum 'Zn10 Fe20 O40'
_space_group_name_H-M_alt 'P 1'
_space_group_IT_number 1
_space_group_name_Hall 'P 1'
_cell_length_a 6.023
_cell_length_b 6.016
_cell_length_c 29.993
_cell_angle_alpha 60.23
_cell_angle_beta 60.05
_cell_angle_gamma 59.63
loop_
_atom_site_label
_atom_site_type_symbol
_atom_site_fract_x
_atom_site_fract_y
_atom_site_fract_z
O1 O 0.730 0.732 0.655
Zn1 Zn 0.003 0.500 0.299
O2 O 0.739 0.735 0.951
O3 O 0.265 0.730 0.949
Fe1 Fe 0.499 0.004 0.300
O4 O 0.734 0.273 0.149
O5 O 0.270 0.258 0.251
Zn2 Zn 0.134 0.125 0.224
Fe2 Fe 0.499 0.499 0.701
Fe3 Fe 0.500 0.499 0.299
O6 O 0.273 0.257 0.144
O7 O 0.266 0.250 0.548
O8 O 0.279 0.247 0.344
O9 O 0.269 0.251 0.452
O10 O 0.731 0.746 0.455
O11 O 0.269 0.722 0.252
O12 O 0.734 0.734 0.751
O13 O 0.267 0.746 0.149
Fe4 Fe 0.497 0.003 0.500
O14 O 0.733 0.266 0.947
Fe5 Fe 0.135 0.135 0.823
Fe6 Fe 0.130 0.128 0.626
Fe7 Fe 0.498 0.497 0.000
Fe8 Fe 0.498 0.006 0.100
Fe9 Fe 0.497 0.501 0.099
O15 O 0.728 0.260 0.252
Zn3 Zn 0.138 0.126 0.022
O16 O 0.742 0.745 0.853
Zn4 Zn 0.003 0.502 0.099
O17 O 0.733 0.745 0.054
Fe10 Fe 0.498 0.497 0.201
Zn5 Zn 0.003 0.498 0.900
Fe11 Fe 0.866 0.867 0.777
O18 O 0.265 0.738 0.350
O19 O 0.277 0.735 0.847
O20 O 0.267 0.717 0.453
Fe12 Fe 0.865 0.882 0.175
Zn6 Zn 0.497 0.999 0.701
Fe13 Fe 0.499 0.502 0.602
O21 O 0.722 0.254 0.454
Fe14 Fe 0.498 0.499 0.501
O22 O 0.272 0.726 0.749
O23 O 0.730 0.275 0.650
O24 O 0.269 0.741 0.551
O25 O 0.272 0.721 0.050
O26 O 0.725 0.255 0.052
O27 O 0.728 0.271 0.553
O28 O 0.734 0.270 0.350
O29 O 0.734 0.740 0.351
Zn7 Zn 0.497 0.001 0.900
Zn8 Zn 0.998 0.497 0.701
O30 O 0.728 0.755 0.255
Fe15 Fe 0.501 0.501 0.799
Zn9 Zn 0.135 0.121 0.424
Fe16 Fe 0.498 0.499 0.899
O31 O 0.727 0.272 0.749
O32 O 0.271 0.271 0.845
Zn10 Zn 0.998 0.498 0.501
Fe17 Fe 0.867 0.869 0.975
O33 O 0.268 0.271 0.648
O34 O 0.272 0.729 0.651
O35 O 0.274 0.252 0.051
Fe18 Fe 0.860 0.873 0.578
Fe19 Fe 0.496 0.500 0.401
O36 O 0.734 0.279 0.847
O37 O 0.733 0.747 0.151
O38 O 0.726 0.742 0.552
Fe20 Fe 0.868 0.879 0.375
O39 O 0.270 0.271 0.744
O40 O 0.265 0.264 0.942

***

[5]
# AlMoO3 | the Materials Project | GGA+U | optimized geometry
# Symmetry ... No. 62
# Energy relative to the elements ... -2.4467 eV/atom
data_AlMoO3
_chemical_formula_sum 'Al4 Mo4 O12'
_space_group_name_H-M_alt 'P 1'
_space_group_IT_number 1
_space_group_name_Hall 'P 1'
_cell_length_a 5.195
_cell_length_b 5.221
_cell_length_c 8.205
_cell_angle_alpha 90.00
_cell_angle_beta 90.00
_cell_angle_gamma 90.00
loop_
_atom_site_label
_atom_site_type_symbol
_atom_site_fract_x
_atom_site_fract_y
_atom_site_fract_z
O1 O 0.353 0.146 0.911
Al1 Al 0.501 0.027 0.250
O2 O 0.853 0.354 0.911
Mo1 Mo 0.000 0.000 0.500
Mo2 Mo 0.500 0.500 0.500
O3 O 0.353 0.146 0.589
O4 O 0.657 0.354 0.250
O5 O 0.147 0.646 0.089
O6 O 0.853 0.354 0.589
Al2 Al 0.499 0.973 0.750
O7 O 0.147 0.646 0.411
Al3 Al 0.001 0.473 0.250
Mo3 Mo 0.000 0.000 0.000
Mo4 Mo 0.500 0.500 0.000
O8 O 0.343 0.646 0.750
O9 O 0.157 0.146 0.250
O10 O 0.647 0.854 0.411
Al4 Al 0.999 0.527 0.750
O11 O 0.843 0.854 0.750
O12 O 0.647 0.854 0.089

***

[6]
# Sr3WO6 | the Materials Project | GGA+U | optimized geometry
# Symmetry ... No. 1
# Energy relative to the elements ... -2.9816 eV/atom
data_Sr3WO6
_chemical_formula_sum 'Sr18 W6 O36'
_space_group_name_H-M_alt 'P 1'
_space_group_IT_number 1
_space_group_name_Hall 'P 1'
_cell_length_a 10.243
_cell_length_b 10.272
_cell_length_c 10.314
_cell_angle_alpha 80.60
_cell_angle_beta 71.31
_cell_angle_gamma 60.54
loop_
_atom_site_label
_atom_site_type_symbol
_atom_site_fract_x
_atom_site_fract_y
_atom_site_fract_z
O1 O 0.476 0.833 0.588
Sr1 Sr 0.341 0.018 0.909
Sr2 Sr 0.702 0.302 0.881
Sr3 Sr 0.473 0.645 0.765
O2 O 0.217 0.839 0.899
O3 O 0.892 0.479 0.404
Sr4 Sr 0.595 0.374 0.259
O4 O 0.660 0.973 0.584
W1 W 0.329 0.335 0.003
Sr5 Sr 0.747 0.950 0.779
O5 O 0.682 0.859 0.360
O6 O 0.439 0.325 0.131
O7 O 0.345 0.606 0.349
O8 O 0.221 0.455 0.548
O9 O 0.540 0.171 0.398
O10 O 0.963 0.858 0.126
O11 O 0.227 0.232 0.141
O12 O 0.758 0.201 0.639
O13 O 0.101 0.880 0.464
O14 O 0.261 0.677 0.634
Sr6 Sr 0.857 0.985 0.367
Sr7 Sr 0.172 0.052 0.304
Sr8 Sr 0.582 0.026 0.155
O15 O 0.162 0.528 0.081
O16 O 0.042 0.218 0.523
Sr9 Sr 0.068 0.660 0.869
O17 O 0.767 0.790 0.011
O18 O 0.713 0.561 0.179
O19 O 0.935 0.966 0.857
O20 O 0.604 0.780 0.843
Sr10 Sr 0.265 0.693 0.135
Sr11 Sr 0.504 0.712 0.380
W2 W 0.499 0.010 0.501
O21 O 0.970 0.712 0.663
O22 O 0.876 0.227 0.347
O23 O 0.555 0.558 0.004
O24 O 0.467 0.829 0.128
Sr12 Sr 0.459 0.320 0.638
O25 O 0.864 0.519 0.914
O26 O 0.044 0.153 0.875
Sr13 Sr 0.971 0.318 0.085
W3 W 0.003 0.998 0.997
O27 O 0.333 0.129 0.649
Sr14 Sr 0.055 0.355 0.719
O28 O 0.040 0.675 0.386
Sr15 Sr 0.198 0.363 0.354
O29 O 0.610 0.457 0.497
O30 O 0.377 0.031 0.382
O31 O 0.425 0.433 0.856
O32 O 0.211 0.339 0.885
Sr16 Sr 0.889 0.660 0.217
Sr17 Sr 0.788 0.686 0.574
W4 W 0.823 0.335 0.513
O33 O 0.802 0.163 0.088
W5 W 0.660 0.674 0.008
O34 O 0.114 0.016 0.110
Sr18 Sr 0.154 0.973 0.654
O35 O 0.770 0.453 0.677
O36 O 0.507 0.140 0.928
W6 W 0.158 0.668 0.508

***

[7]
# Mn2CrP3O12 | the Materials Project | GGA+U | optimized geometry
# Symmetry ... No. 167
# Energy relative to the elements ... -2.4055 eV/atom
data_Mn2CrP3O12
_chemical_formula_sum 'Mn4 Cr2 P6 O24'
_space_group_name_H-M_alt 'P 1'
_space_group_IT_number 1
_space_group_name_Hall 'P 1'
_cell_length_a 8.445
_cell_length_b 8.445
_cell_length_c 8.445
_cell_angle_alpha 61.61
_cell_angle_beta 61.61
_cell_angle_gamma 61.61
loop_
_atom_site_label
_atom_site_type_symbol
_atom_site_fract_x
_atom_site_fract_y
_atom_site_fract_z
O1 O 0.818 0.606 0.012
O2 O 0.682 0.488 0.894
O3 O 0.437 0.251 0.595
Mn1 Mn 0.855 0.855 0.855
O4 O 0.095 0.751 0.937
P1 P 0.250 0.548 0.952
O5 O 0.751 0.937 0.095
O6 O 0.394 0.988 0.182
O7 O 0.106 0.318 0.512
O8 O 0.937 0.095 0.751
O9 O 0.405 0.563 0.749
O10 O 0.905 0.249 0.063
Cr1 Cr 0.500 0.500 0.500
P2 P 0.048 0.750 0.452
O11 O 0.012 0.818 0.606
O12 O 0.595 0.437 0.251
P3 P 0.452 0.048 0.750
O13 O 0.251 0.595 0.437
Cr2 Cr 0.000 0.000 0.000
O14 O 0.318 0.512 0.106
P4 P 0.750 0.452 0.048
Mn2 Mn 0.645 0.645 0.645
O15 O 0.512 0.106 0.318
Mn3 Mn 0.145 0.145 0.145
O16 O 0.249 0.063 0.905
P5 P 0.548 0.952 0.250
Mn4 Mn 0.355 0.355 0.355
O17 O 0.182 0.394 0.988
O18 O 0.563 0.749 0.405
O19 O 0.606 0.012 0.818
O20 O 0.063 0.905 0.249
O21 O 0.749 0.405 0.563
P6 P 0.952 0.250 0.548
O22 O 0.488 0.894 0.682
O23 O 0.988 0.182 0.394
O24 O 0.894 0.682 0.488

***

[8]
# VFeP2O8 | the Materials Project | GGA+U | optimized geometry
# Symmetry ... No. 11
# Excess energy over the best structure of this formula in the dataset ... 7 meV/atom
# Energy relative to the elements ... -2.4917 eV/atom
data_VFeP2O8
_chemical_formula_sum 'V2 Fe2 P4 O16'
_space_group_name_H-M_alt 'P 1'
_space_group_IT_number 1
_space_group_name_Hall 'P 1'
_cell_length_a 5.917
_cell_length_b 4.913
_cell_length_c 10.048
_cell_angle_alpha 89.85
_cell_angle_beta 90.00
_cell_angle_gamma 90.00
loop_
_atom_site_label
_atom_site_type_symbol
_atom_site_fract_x
_atom_site_fract_y
_atom_site_fract_z
O1 O 0.547 0.766 0.330
V1 V 0.250 0.523 0.772
O2 O 0.750 0.855 0.553
O3 O 0.250 0.145 0.447
Fe1 Fe 0.750 0.029 0.727
V2 V 0.750 0.477 0.228
O4 O 0.953 0.766 0.330
P1 P 0.750 0.914 0.404
O5 O 0.750 0.642 0.050
O6 O 0.250 0.358 0.950
P2 P 0.250 0.086 0.596
O7 O 0.750 0.217 0.376
P3 P 0.750 0.585 0.901
O8 O 0.250 0.722 0.123
O9 O 0.048 0.266 0.172
O10 O 0.452 0.266 0.172
O11 O 0.952 0.734 0.828
P4 P 0.250 0.415 0.099
O12 O 0.047 0.234 0.670
O13 O 0.750 0.278 0.877
O14 O 0.250 0.783 0.624
O15 O 0.453 0.234 0.670
Fe2 Fe 0.250 0.971 0.273
O16 O 0.548 0.734 0.828